Crystalline Zr2Zn at its relaxed geometry. Source: the Materials Project, functional r2SCAN.

The structure belongs to space group I4/mmm (No. 139); the cell edges are 3.2873, 3.2873 and 11.3395 Å and the angles 90.00°, 90.00° and 90.00°. Symmetry generates all atoms from Zr at (0.0000, 0.0000, 0.1561) and Zn at (0.0000, 0.0000, 0.5000).

The magnetic moment is 0.00 μB per formula unit. As for the formation energy: -0.2011 eV per atom. The calculation puts the total energy at -18.3378 eV per atom.